[1]
AlFe3O6 | PBE with a Hubbard U | optimized geometry

a = 5.9511 Å, b = 5.9511 Å, c = 14.6256 Å
α = 90.00°, β = 90.00°, γ = 120.00°
Space group P-3m1 (No. 164)
Symmetry-distinct sites (fractional):
Al  0.0000  0.0000  0.1296
Al  0.3333  0.6667  0.4533
Fe  0.0000  0.0000  0.5000
Fe  0.0000  0.5000  0.0000
Fe  0.1695  0.3391  0.6685
Fe  0.3333  0.6667  0.8275
O  0.0000  0.0000  0.2556
O  0.0333  0.5166  0.7403
O  0.1619  0.3237  0.4177
O  0.1677  0.3353  0.9134
O  0.3333  0.6667  0.0600
O  0.3333  0.6667  0.5773

Output
formation energy	-2.012	eV/atom
E_tot	-272.3	eV per cell

---

[2]
Al2Fe2O7 | PBE with a Hubbard U | optimized geometry

a = 9.3129 Å, b = 9.3129 Å, c = 9.3129 Å
α = 90.00°, β = 90.00°, γ = 90.00°
Space group Fd-3m (No. 227, origin choice 2)
Symmetry-distinct sites (fractional):
Al  0.0000  0.0000  0.0000
Fe  0.0000  0.0000  0.5000
O  0.0951  0.3750  0.8750
O  0.1250  0.1250  0.1250

Output
formation energy	-1.917	eV/atom
E_tot	-566.7	eV per cell

---

[3]
Al15Fe9O32 | PBE with a Hubbard U | optimized geometry

a = 10.1591 Å, b = 5.8134 Å, c = 19.3088 Å
α = 90.00°, β = 99.65°, γ = 90.00°
Space group C2/m (No. 12)
Symmetry-distinct sites (fractional):
Al  0.0000  0.0000  0.0000
Al  0.0000  0.2506  0.2496
Al  0.1253  0.0000  0.8753
Al  0.1272  0.5000  0.3743
Al  0.2498  0.0000  0.7508
Al  0.2500  0.2500  0.0000
Al  0.2500  0.2500  0.5000
Fe  0.0000  0.5000  0.5000
Fe  0.0305  0.0000  0.5933
Fe  0.0315  0.5000  0.0930
Fe  0.2177  0.0000  0.1566
Fe  0.2182  0.5000  0.6571
O  0.0417  0.0000  0.1906
O  0.0422  0.5000  0.6918
O  0.0672  0.0000  0.6995
O  0.0675  0.5000  0.1986
O  0.0746  0.2197  0.9418
O  0.0790  0.2782  0.4400
O  0.1751  0.2205  0.8089
O  0.1764  0.2811  0.3075
O  0.1829  0.0000  0.0510
O  0.1858  0.5000  0.5508
O  0.2051  0.0000  0.5594
O  0.2077  0.5000  0.0590

Output
energy above the lowest structure with this stoichiometry	0	meV per atom
formation energy	-2.818	eV/atom
E_tot	-812.5	eV per cell

---

[4]
Al4Fe3O12 | PBE with a Hubbard U | optimized geometry

a = 9.9975 Å, b = 5.7709 Å, c = 14.1876 Å
α = 90.00°, β = 90.25°, γ = 90.00°
Space group C2/m (No. 12)
Symmetry-distinct sites (fractional):
Al  0.0000  0.0000  0.0000
Al  0.0000  0.5000  0.5000
Al  0.0833  0.2453  0.6688
Al  0.2500  0.2500  0.0000
Fe  0.0015  0.5000  0.1251
Fe  0.1646  0.0000  0.4590
Fe  0.1656  0.0000  0.2122
O  0.0067  0.0000  0.7376
O  0.0160  0.5000  0.7416
O  0.0634  0.2607  0.4201
O  0.0858  0.2399  0.9307
O  0.1518  0.5000  0.5845
O  0.1554  0.0000  0.5928
O  0.1662  0.0000  0.0731
O  0.1748  0.5000  0.0702
O  0.2377  0.2631  0.7444

Output
energy above the lowest structure with this stoichiometry	20	meV per atom
formation energy	-2.291	eV/atom
E_tot	-513.1	eV per cell

---

Which formula does entry 3 have? Al15Fe9O32